# 1
{
  "formula": "Hf2FeOs",
  "functional": "PBE-GGA",
  "state": "relaxed",
  "lattice": [[6.419, 0.000, 0.000], [0.000, 6.419, 0.000], [0.000, 0.000, 6.419]],
  "species": ["Hf", "Hf", "Hf", "Hf", "Hf", "Hf", "Hf", "Hf", "Fe", "Fe", "Fe", "Fe", "Os", "Os", "Os", "Os"],
  "fractional_positions": [[0.250, 0.250, 0.250], [0.250, 0.250, 0.750], [0.250, 0.750, 0.250], [0.250, 0.750, 0.750], [0.750, 0.250, 0.250], [0.750, 0.250, 0.750], [0.750, 0.750, 0.250], [0.750, 0.750, 0.750], [0.000, 0.000, 0.000], [0.000, 0.500, 0.500], [0.500, 0.000, 0.500], [0.500, 0.500, 0.000], [0.000, 0.000, 0.500], [0.000, 0.500, 0.000], [0.500, 0.000, 0.000], [0.500, 0.500, 0.500]],
  "formation_enthalpy_0k_mev_per_atom": -523,
  "mass_density_g_cm3": 15.14
}

=====

# 2
{
  "formula": "Hf4FeP",
  "functional": "PBE-GGA",
  "state": "relaxed",
  "lattice": [[6.222, 0.000, 0.000], [0.000, 6.222, 0.000], [0.000, 0.000, 5.597]],
  "species": ["Hf", "Hf", "Hf", "Hf", "Hf", "Hf", "Hf", "Hf", "Fe", "Fe", "P", "P"],
  "fractional_positions": [[0.162, 0.325, 0.000], [0.162, 0.675, 0.500], [0.325, 0.162, 0.500], [0.325, 0.838, 0.000], [0.675, 0.162, 0.000], [0.675, 0.838, 0.500], [0.838, 0.325, 0.500], [0.838, 0.675, 0.000], [0.000, 0.000, 0.250], [0.000, 0.000, 0.750], [0.500, 0.500, 0.250], [0.500, 0.500, 0.750]],
  "formation_enthalpy_0k_mev_per_atom": -544,
  "m_tot_mub_per_fu": 0.34,
  "mass_density_g_cm3": 12.27
}

=====

# 3
{
  "formula": "Hf6Fe16Si7",
  "functional": "PBE-GGA",
  "state": "relaxed",
  "lattice": [[0.000, 5.700, 5.700], [5.700, 0.000, 5.700], [5.700, 5.700, 0.000]],
  "species": ["Hf", "Hf", "Hf", "Hf", "Hf", "Hf", "Fe", "Fe", "Fe", "Fe", "Fe", "Fe", "Fe", "Fe", "Fe", "Fe", "Fe", "Fe", "Fe", "Fe", "Fe", "Fe", "Si", "Si", "Si", "Si", "Si", "Si", "Si"],
  "fractional_positions": [[0.205, 0.205, 0.795], [0.205, 0.795, 0.205], [0.205, 0.795, 0.795], [0.795, 0.205, 0.205], [0.795, 0.205, 0.795], [0.795, 0.795, 0.205], [0.137, 0.621, 0.621], [0.175, 0.175, 0.175], [0.175, 0.175, 0.474], [0.175, 0.474, 0.175], [0.379, 0.379, 0.379], [0.379, 0.379, 0.863], [0.379, 0.863, 0.379], [0.474, 0.175, 0.175], [0.526, 0.825, 0.825], [0.621, 0.137, 0.621], [0.621, 0.621, 0.137], [0.621, 0.621, 0.621], [0.825, 0.526, 0.825], [0.825, 0.825, 0.526], [0.825, 0.825, 0.825], [0.863, 0.379, 0.379], [0.000, 0.000, 0.500], [0.000, 0.500, 0.000], [0.000, 0.500, 0.500], [0.500, 0.000, 0.000], [0.500, 0.000, 0.500], [0.500, 0.500, 0.000], [0.500, 0.500, 0.500]],
  "formation_enthalpy_0k_mev_per_atom": -540,
  "mass_density_g_cm3": 9.69
}

=====

# 4
{
  "formula": "Hf3Fe2Si3",
  "functional": "PBE-GGA",
  "state": "relaxed",
  "lattice": [[1.927, -4.956, 0.000], [1.927, 4.956, 0.000], [0.000, 0.000, 12.857]],
  "species": ["Hf", "Hf", "Hf", "Hf", "Hf", "Hf", "Fe", "Fe", "Fe", "Fe", "Si", "Si", "Si", "Si", "Si", "Si"],
  "fractional_positions": [[0.078, 0.922, 0.613], [0.078, 0.922, 0.887], [0.363, 0.637, 0.750], [0.637, 0.363, 0.250], [0.922, 0.078, 0.113], [0.922, 0.078, 0.387], [0.220, 0.780, 0.082], [0.220, 0.780, 0.418], [0.780, 0.220, 0.582], [0.780, 0.220, 0.918], [0.336, 0.664, 0.250], [0.388, 0.612, 0.542], [0.388, 0.612, 0.958], [0.612, 0.388, 0.042], [0.612, 0.388, 0.458], [0.664, 0.336, 0.750]],
  "formation_enthalpy_0k_mev_per_atom": -742,
  "m_tot_mub_per_fu": 0.35,
  "mass_density_g_cm3": 9.89
}

=====

# 5
{
  "formula": "HfFeSi",
  "functional": "PBE-GGA",
  "state": "relaxed",
  "lattice": [[6.347, 0.000, 0.000], [0.000, 3.982, 0.000], [0.000, 0.000, 6.942]],
  "species": ["Hf", "Hf", "Hf", "Hf", "Fe", "Fe", "Fe", "Fe", "Si", "Si", "Si", "Si"],
  "fractional_positions": [[0.006, 0.250, 0.199], [0.494, 0.750, 0.699], [0.506, 0.250, 0.301], [0.994, 0.750, 0.801], [0.157, 0.750, 0.439], [0.343, 0.250, 0.939], [0.657, 0.750, 0.061], [0.843, 0.250, 0.561], [0.210, 0.250, 0.607], [0.290, 0.750, 0.107], [0.710, 0.250, 0.893], [0.790, 0.750, 0.393]],
  "formation_enthalpy_0k_mev_per_atom": -747,
  "mass_density_g_cm3": 9.93
}

=====

# 6
{
  "formula": "HfFe2Si2",
  "functional": "PBE-GGA",
  "state": "relaxed",
  "lattice": [[7.430, 0.000, 0.000], [0.000, 7.027, 0.000], [0.000, 0.000, 5.024]],
  "species": ["Hf", "Hf", "Hf", "Hf", "Fe", "Fe", "Fe", "Fe", "Fe", "Fe", "Fe", "Fe", "Si", "Si", "Si", "Si", "Si", "Si", "Si", "Si"],
  "fractional_positions": [[0.249, 0.093, 0.250], [0.249, 0.407, 0.750], [0.751, 0.593, 0.250], [0.751, 0.907, 0.750], [0.108, 0.017, 0.750], [0.108, 0.483, 0.250], [0.390, 0.750, 0.000], [0.390, 0.750, 0.500], [0.610, 0.250, 0.000], [0.610, 0.250, 0.500], [0.892, 0.517, 0.750], [0.892, 0.983, 0.250], [0.056, 0.750, 0.000], [0.056, 0.750, 0.500], [0.414, 0.049, 0.750], [0.414, 0.451, 0.250], [0.586, 0.549, 0.750], [0.586, 0.951, 0.250], [0.944, 0.250, 0.000], [0.944, 0.250, 0.500]],
  "formation_enthalpy_0k_mev_per_atom": -630,
  "m_tot_mub_per_fu": 0.99,
  "mass_density_g_cm3": 8.77
}

=====

# 7
{
  "formula": "Hf3TaFe8",
  "functional": "PBE-GGA",
  "state": "relaxed",
  "lattice": [[4.926, 0.000, 0.000], [-2.463, 4.266, 0.000], [0.000, 0.000, 7.996]],
  "species": ["Hf", "Hf", "Hf", "Ta", "Fe", "Fe", "Fe", "Fe", "Fe", "Fe", "Fe", "Fe"],
  "fractional_positions": [[0.000, 0.000, 0.000], [0.000, 0.000, 0.377], [0.333, 0.667, 0.873], [0.333, 0.667, 0.500], [0.004, 0.502, 0.190], [0.331, 0.166, 0.685], [0.498, 0.502, 0.190], [0.498, 0.996, 0.190], [0.667, 0.333, 0.438], [0.667, 0.333, 0.937], [0.834, 0.166, 0.685], [0.834, 0.669, 0.685]],
  "formation_enthalpy_0k_mev_per_atom": -289,
  "mass_density_g_cm3": 11.49
}

=====

# 8
{
  "formula": "HfTiFe4",
  "functional": "PBE-GGA",
  "state": "relaxed",
  "lattice": [[4.878, 0.000, 0.000], [-2.439, 4.225, 0.000], [0.000, 0.000, 7.907]],
  "species": ["Hf", "Hf", "Ti", "Ti", "Fe", "Fe", "Fe", "Fe", "Fe", "Fe", "Fe", "Fe"],
  "fractional_positions": [[0.333, 0.667, 0.068], [0.667, 0.333, 0.932], [0.333, 0.667, 0.444], [0.667, 0.333, 0.556], [0.000, 0.000, 0.000], [0.000, 0.000, 0.500], [0.169, 0.339, 0.745], [0.169, 0.831, 0.745], [0.339, 0.169, 0.255], [0.661, 0.831, 0.745], [0.831, 0.169, 0.255], [0.831, 0.661, 0.255]],
  "formation_enthalpy_0k_mev_per_atom": -303,
  "m_tot_mub_per_fu": 6.01,
  "mass_density_g_cm3": 9.17
}

=====

# 9
{
  "formula": "Hf9FeW4",
  "functional": "PBE-GGA",
  "state": "relaxed",
  "lattice": [[8.714, 0.000, 0.000], [-4.357, 7.546, 0.000], [0.000, 0.000, 8.440]],
  "species": ["Hf", "Hf", "Hf", "Hf", "Hf", "Hf", "Hf", "Hf", "Hf", "Hf", "Hf", "Hf", "Hf", "Hf", "Hf", "Hf", "Hf", "Hf", "Fe", "Fe", "W", "W", "W", "W", "W", "W", "W", "W"],
  "fractional_positions": [[0.080, 0.540, 0.250], [0.201, 0.402, 0.559], [0.201, 0.402, 0.941], [0.201, 0.799, 0.559], [0.201, 0.799, 0.941], [0.402, 0.201, 0.059], [0.402, 0.201, 0.441], [0.460, 0.540, 0.250], [0.460, 0.920, 0.250], [0.540, 0.080, 0.750], [0.540, 0.460, 0.750], [0.598, 0.799, 0.559], [0.598, 0.799, 0.941], [0.799, 0.201, 0.059], [0.799, 0.201, 0.441], [0.799, 0.598, 0.059], [0.799, 0.598, 0.441], [0.920, 0.460, 0.750], [0.333, 0.667, 0.750], [0.667, 0.333, 0.250], [0.000, 0.000, 0.000], [0.000, 0.000, 0.500], [0.112, 0.225, 0.250], [0.112, 0.888, 0.250], [0.225, 0.112, 0.750], [0.775, 0.888, 0.250], [0.888, 0.112, 0.750], [0.888, 0.775, 0.750]],
  "formation_enthalpy_0k_mev_per_atom": -111,
  "m_tot_mub_per_fu": 0.01,
  "mass_density_g_cm3": 14.35
}

=====

# 10
{
  "formula": "HfZrFe2",
  "functional": "PBE-GGA",
  "state": "relaxed",
  "lattice": [[6.331, 0.000, 0.000], [0.000, 6.331, 0.000], [0.000, 0.000, 6.331]],
  "species": ["Hf", "Hf", "Hf", "Hf", "Zr", "Zr", "Zr", "Zr", "Fe", "Fe", "Fe", "Fe", "Fe", "Fe", "Fe", "Fe"],
  "fractional_positions": [[0.000, 0.000, 0.000], [0.000, 0.500, 0.500], [0.500, 0.000, 0.500], [0.500, 0.500, 0.000], [0.000, 0.000, 0.500], [0.000, 0.500, 0.000], [0.500, 0.000, 0.000], [0.500, 0.500, 0.500], [0.250, 0.250, 0.250], [0.250, 0.250, 0.750], [0.250, 0.750, 0.250], [0.250, 0.750, 0.750], [0.750, 0.250, 0.250], [0.750, 0.250, 0.750], [0.750, 0.750, 0.250], [0.750, 0.750, 0.750]],
  "formation_enthalpy_0k_mev_per_atom": -255,
  "mass_density_g_cm3": 9.98
}

=====

# 11
{
  "formula": "Ho2Fe17",
  "functional": "PBE-GGA",
  "state": "relaxed",
  "lattice": [[8.482, 0.000, 0.000], [-4.241, 7.346, 0.000], [0.000, 0.000, 8.242]],
  "species": ["Ho", "Ho", "Ho", "Ho", "Fe", "Fe", "Fe", "Fe", "Fe", "Fe", "Fe", "Fe", "Fe", "Fe", "Fe", "Fe", "Fe", "Fe", "Fe", "Fe", "Fe", "Fe", "Fe", "Fe", "Fe", "Fe", "Fe", "Fe", "Fe", "Fe", "Fe", "Fe", "Fe", "Fe", "Fe", "Fe", "Fe", "Fe"],
  "fractional_positions": [[0.000, 0.000, 0.250], [0.000, 0.000, 0.750], [0.333, 0.667, 0.250], [0.667, 0.333, 0.750], [0.000, 0.500, 0.000], [0.000, 0.500, 0.500], [0.039, 0.368, 0.750], [0.039, 0.671, 0.750], [0.166, 0.332, 0.016], [0.166, 0.332, 0.484], [0.166, 0.834, 0.016], [0.166, 0.834, 0.484], [0.329, 0.368, 0.750], [0.329, 0.961, 0.750], [0.332, 0.166, 0.516], [0.332, 0.166, 0.984], [0.333, 0.667, 0.606], [0.333, 0.667, 0.894], [0.368, 0.039, 0.250], [0.368, 0.329, 0.250], [0.500, 0.000, 0.000], [0.500, 0.000, 0.500], [0.500, 0.500, 0.000], [0.500, 0.500, 0.500], [0.632, 0.671, 0.750], [0.632, 0.961, 0.750], [0.667, 0.333, 0.106], [0.667, 0.333, 0.394], [0.668, 0.834, 0.016], [0.668, 0.834, 0.484], [0.671, 0.039, 0.250], [0.671, 0.632, 0.250], [0.834, 0.166, 0.516], [0.834, 0.166, 0.984], [0.834, 0.668, 0.516], [0.834, 0.668, 0.984], [0.961, 0.329, 0.250], [0.961, 0.632, 0.250]],
  "formation_enthalpy_0k_mev_per_atom": -15,
  "m_tot_mub_per_fu": 39.14,
  "mass_density_g_cm3": 8.27
}

=====

# 12
{
  "formula": "HoFe3",
  "functional": "PBE-GGA",
  "state": "relaxed",
  "lattice": [[2.542, 1.468, 8.099], [-2.542, 1.468, 8.099], [0.000, -2.935, 8.099]],
  "species": ["Ho", "Ho", "Ho", "Fe", "Fe", "Fe", "Fe", "Fe", "Fe", "Fe", "Fe", "Fe"],
  "fractional_positions": [[0.000, 0.000, 0.000], [0.142, 0.142, 0.142], [0.858, 0.858, 0.858], [0.082, 0.581, 0.581], [0.333, 0.333, 0.333], [0.419, 0.419, 0.918], [0.419, 0.918, 0.419], [0.500, 0.500, 0.500], [0.581, 0.082, 0.581], [0.581, 0.581, 0.082], [0.667, 0.667, 0.667], [0.918, 0.419, 0.419]],
  "formation_enthalpy_0k_mev_per_atom": -84,
  "mass_density_g_cm3": 9.14
}

=====

# 13
{
  "formula": "HoFe5",
  "functional": "PBE-GGA",
  "state": "relaxed",
  "lattice": [[4.986, 0.000, 0.000], [-2.493, 4.318, 0.000], [0.000, 0.000, 3.947]],
  "species": ["Ho", "Fe", "Fe", "Fe", "Fe", "Fe"],
  "fractional_positions": [[0.000, 0.000, 0.000], [0.000, 0.500, 0.500], [0.333, 0.667, 0.000], [0.500, 0.000, 0.500], [0.500, 0.500, 0.500], [0.667, 0.333, 0.000]],
  "formation_enthalpy_0k_mev_per_atom": -54,
  "mass_density_g_cm3": 8.68
}

=====

# 14
{
  "formula": "Ho7FeI12",
  "functional": "PBE-GGA",
  "state": "relaxed",
  "lattice": [[7.836, 4.524, 3.621], [-7.836, 4.524, 3.621], [0.000, -9.048, 3.621]],
  "species": ["Ho", "Ho", "Ho", "Ho", "Ho", "Ho", "Ho", "Fe", "I", "I", "I", "I", "I", "I", "I", "I", "I", "I", "I", "I"],
  "fractional_positions": [[0.000, 0.000, 0.000], [0.214, 0.479, 0.410], [0.410, 0.214, 0.479], [0.479, 0.410, 0.214], [0.521, 0.590, 0.786], [0.590, 0.786, 0.521], [0.786, 0.521, 0.590], [0.500, 0.500, 0.500], [0.038, 0.115, 0.339], [0.115, 0.339, 0.038], [0.180, 0.571, 0.724], [0.276, 0.820, 0.429], [0.339, 0.038, 0.115], [0.429, 0.276, 0.820], [0.571, 0.724, 0.180], [0.661, 0.962, 0.885], [0.724, 0.180, 0.571], [0.820, 0.429, 0.276], [0.885, 0.661, 0.962], [0.962, 0.885, 0.661]],
  "formation_enthalpy_0k_mev_per_atom": -1401,
  "mass_density_g_cm3": 5.89,
  "de_polymorph_mev_per_atom": 0
}

=====

# 15
{
  "formula": "HoMnFe",
  "functional": "PBE-GGA",
  "state": "relaxed",
  "lattice": [[5.057, 0.000, 0.000], [0.000, 5.170, 0.000], [0.000, 0.000, 7.216]],
  "species": ["Ho", "Ho", "Ho", "Ho", "Mn", "Mn", "Mn", "Mn", "Fe", "Fe", "Fe", "Fe"],
  "fractional_positions": [[0.000, 0.250, 0.123], [0.000, 0.750, 0.877], [0.500, 0.250, 0.377], [0.500, 0.750, 0.623], [0.000, 0.000, 0.500], [0.000, 0.500, 0.500], [0.500, 0.000, 0.000], [0.500, 0.500, 0.000], [0.250, 0.250, 0.750], [0.250, 0.750, 0.250], [0.750, 0.250, 0.750], [0.750, 0.750, 0.250]],
  "formation_enthalpy_0k_mev_per_atom": 11,
  "m_tot_mub_per_fu": 2.95,
  "mass_density_g_cm3": 9.71
}

=====

# 16
{
  "formula": "HoFe10Mo2",
  "functional": "PBE-GGA",
  "state": "relaxed",
  "lattice": [[-2.363, 4.265, 4.293], [2.363, -4.265, 4.293], [2.363, 4.265, -4.293]],
  "species": ["Ho", "Fe", "Fe", "Fe", "Fe", "Fe", "Fe", "Fe", "Fe", "Fe", "Fe", "Mo", "Mo"],
  "fractional_positions": [[0.000, 0.000, 0.000], [0.000, 0.000, 0.500], [0.000, 0.500, 0.000], [0.217, 0.500, 0.717], [0.225, 0.725, 0.500], [0.357, 0.000, 0.357], [0.500, 0.000, 0.000], [0.500, 0.500, 0.500], [0.643, 0.000, 0.643], [0.775, 0.275, 0.500], [0.783, 0.500, 0.283], [0.358, 0.358, 0.000], [0.642, 0.642, 0.000]],
  "formation_enthalpy_0k_mev_per_atom": -11,
  "m_tot_mub_per_fu": 18.84,
  "mass_density_g_cm3": 8.78
}

=====

# 17
{
  "formula": "HoFe10Mo2N",
  "functional": "PBE-GGA",
  "state": "relaxed",
  "lattice": [[-2.383, 4.308, 4.348], [2.383, -4.308, 4.348], [2.383, 4.308, -4.348]],
  "species": ["Ho", "Fe", "Fe", "Fe", "Fe", "Fe", "Fe", "Fe", "Fe", "Fe", "Fe", "Mo", "Mo", "N"],
  "fractional_positions": [[0.000, 0.000, 0.000], [0.000, 0.000, 0.500], [0.000, 0.500, 0.000], [0.220, 0.720, 0.500], [0.221, 0.500, 0.721], [0.360, 0.360, 0.000], [0.500, 0.000, 0.000], [0.500, 0.500, 0.500], [0.640, 0.640, 0.000], [0.779, 0.500, 0.279], [0.780, 0.280, 0.500], [0.359, 0.000, 0.359], [0.641, 0.000, 0.641], [0.000, 0.500, 0.500]],
  "formation_enthalpy_0k_mev_per_atom": -140,
  "m_tot_mub_per_fu": 19.26,
  "mass_density_g_cm3": 8.64
}